A plane-wave DFT calculation with PBE+U was carried out for a relaxed structure of Mn2NbC8N8O8.

Computed properties:
Energy relative to the elements: 14.044 eV/f.u.
Crystal system: tetragonal

Cell lengths 10.5111, 10.5111, 10.5111 Å; angles 113.57, 113.57, 101.55 degrees
Last column: nearest neighbours and their distance in Å.
Atoms (fractional coordinates):
Mn 0.1879 0.3086 0.4965  2 O 1.65-1.68
Mn 0.3086 0.8121 0.1206  2 O 1.65-1.68
Mn 0.6914 0.1879 0.8794  2 O 1.65-1.68
Mn 0.8121 0.6914 0.5035  2 O 1.65-1.68
Nb 0.2462 0.2462 0.0000  8 C 2.23-2.24
Nb 0.7538 0.7538 0.0000  8 C 2.23-2.24
C 0.0012 0.2102 0.8948  1 N 1.17
C 0.1064 0.0012 0.7910  1 N 1.17
C 0.1968 0.2565 0.7779  1 N 1.17
C 0.2102 0.3154 0.2090  1 N 1.17
C 0.2565 0.4786 0.0597  1 N 1.17
C 0.3154 0.1064 0.1052  1 N 1.17
C 0.4189 0.1968 0.9403  1 N 1.17
C 0.4786 0.4189 0.2221  1 N 1.17
C 0.5214 0.5811 0.7779  1 N 1.17
C 0.5811 0.8032 0.0597  1 N 1.17
C 0.6846 0.8936 0.8948  1 N 1.17
C 0.7435 0.5214 0.9403  1 N 1.17
C 0.7898 0.6846 0.7910  1 N 1.17
C 0.8032 0.7435 0.2221  1 N 1.17
C 0.8936 0.9988 0.2090  1 N 1.17
C 0.9988 0.7898 0.1052  1 N 1.17
N 0.0163 0.8768 0.6815  1 C 1.17
N 0.1232 0.8047 0.1395  1 C 1.17
N 0.1842 0.2702 0.6693  1 C 1.17
N 0.1953 0.3348 0.3185  1 C 1.17
N 0.2702 0.6010 0.0860  1 C 1.17
N 0.3348 0.0163 0.1395  1 C 1.17
N 0.3990 0.4850 0.6693  1 C 1.17
N 0.4850 0.8158 0.0860  1 C 1.17
N 0.5150 0.1842 0.9140  1 C 1.17
N 0.6010 0.5150 0.3307  1 C 1.17
N 0.6652 0.9837 0.8605  1 C 1.17
N 0.7298 0.3990 0.9140  1 C 1.17
N 0.8047 0.6652 0.6815  1 C 1.17
N 0.8158 0.7298 0.3307  1 C 1.17
N 0.8768 0.1953 0.8605  1 C 1.17
N 0.9837 0.1232 0.3185  1 C 1.17
O 0.1072 0.4272 0.5344  1 Mn 1.65
O 0.1731 0.6865 0.3755  2 O 1.46
O 0.1905 0.7271 0.9176  1 Mn 1.68
O 0.2025 0.8269 0.5135  2 O 1.46
O 0.2729 0.1905 0.4634  1 Mn 1.68
O 0.3110 0.7975 0.6245  2 O 1.46
O 0.3135 0.6890 0.4865  2 O 1.46
O 0.4272 0.8928 0.3200  1 Mn 1.65
O 0.5728 0.1072 0.6800  1 Mn 1.65
O 0.6865 0.3110 0.5135  2 O 1.46
O 0.6890 0.2025 0.3755  2 O 1.46
O 0.7271 0.8095 0.5366  1 Mn 1.68
O 0.7975 0.1731 0.4865  2 O 1.46
O 0.8095 0.2729 0.0824  1 Mn 1.68
O 0.8269 0.3135 0.6245  2 O 1.46
O 0.8928 0.5728 0.4656  1 Mn 1.65

***

A plane-wave DFT calculation with PBE+U was carried out for a relaxed structure of NaMnPCO7.

Computed properties:
ΔE to the lowest computed polymorph: 9 kJ/mol of formula units
Energy relative to the elements: -23.909 eV/f.u.
Crystal system: monoclinic

Cell lengths 5.2533, 6.2581, 9.0450 Å; angles 90.00, 92.49, 90.00 degrees
Last column: nearest neighbours and their distance in Å.
Atoms (fractional coordinates):
Na 0.2391 0.0000 0.2642  5 O 2.22-2.48
Na 0.7609 0.5000 0.7358  5 O 2.22-2.48
Mn 0.2156 0.2145 0.8431  6 O 1.90-2.00
Mn 0.7844 0.7145 0.1569  6 O 1.90-2.00
P 0.2786 0.7206 0.9332  4 O 1.54-1.56
P 0.7214 0.2206 0.0668  4 O 1.54-1.56
C 0.2743 0.2312 0.5788  3 O 1.23-1.33
C 0.7257 0.7312 0.4212  3 O 1.23-1.33
O 0.0512 0.2260 0.6399  1 C 1.32
O 0.1287 0.7282 0.0755  1 P 1.54
O 0.2048 0.5266 0.8332  1 P 1.55
O 0.2154 0.9117 0.8294  1 P 1.55
O 0.3087 0.2366 0.4450  1 C 1.23
O 0.4308 0.2115 0.0252  1 P 1.56
O 0.4601 0.2285 0.6831  1 C 1.33
O 0.5399 0.7285 0.3169  1 C 1.33
O 0.5692 0.7115 0.9748  1 P 1.56
O 0.6913 0.7366 0.5550  1 C 1.23
O 0.7846 0.4117 0.1706  1 P 1.55
O 0.7952 0.0266 0.1668  1 P 1.55
O 0.8713 0.2282 0.9245  1 P 1.54
O 0.9488 0.7260 0.3601  1 C 1.32

***

A plane-wave DFT calculation with PBE+U was carried out for a relaxed structure of Na5Mn2P2C2O14.

Computed properties:
ΔE to the lowest computed polymorph: 4 kJ/mol of formula units
Energy relative to the elements: -58.457 eV/f.u.
Crystal system: triclinic

Cell lengths 5.2280, 11.2244, 11.2440 Å; angles 73.56, 89.48, 89.33 degrees
Last column: nearest neighbours and their distance in Å.
Atoms (fractional coordinates):
Na 0.2415 0.1142 0.1253  6 O 2.28-2.50
Na 0.2427 0.5858 0.3337  5 O 2.34-2.53
Na 0.2440 0.8822 0.3700  5 O 2.29-2.50
Na 0.2461 0.3721 0.8762  4 O 2.28-2.46
Na 0.2497 0.6294 0.6283  3 O 2.27-2.44
Na 0.7503 0.3706 0.3717  3 O 2.27-2.44
Na 0.7539 0.6279 0.1238  4 O 2.28-2.46
Na 0.7560 0.1178 0.6300  5 O 2.29-2.50
Na 0.7573 0.4142 0.6663  5 O 2.34-2.53
Na 0.7585 0.8858 0.8747  6 O 2.28-2.50
Mn 0.2192 0.1914 0.4472  5 O 2.12-2.33
Mn 0.2228 0.7004 0.9450  5 O 1.98-2.14
Mn 0.7772 0.2996 0.0550  5 O 1.98-2.14
Mn 0.7808 0.8086 0.5528  5 O 2.12-2.33
P 0.2948 0.9159 0.6684  4 O 1.54-1.57
P 0.2989 0.4162 0.1639  4 O 1.54-1.59
P 0.7011 0.5838 0.8361  4 O 1.54-1.59
P 0.7052 0.0841 0.3316  4 O 1.54-1.57
C 0.2662 0.3462 0.5939  3 O 1.30
C 0.2761 0.8374 0.0884  3 O 1.26-1.34
C 0.7239 0.1626 0.9116  3 O 1.26-1.34
C 0.7338 0.6538 0.4061  3 O 1.30
O 0.0431 0.3174 0.5603  1 C 1.30
O 0.0599 0.7987 0.0497  1 C 1.34
O 0.1651 0.3408 0.0877  1 P 1.54
O 0.1807 0.8371 0.5881  1 P 1.56
O 0.2054 0.8638 0.8060  1 P 1.56
O 0.2070 0.0526 0.6205  1 P 1.54
O 0.2300 0.3739 0.3035  1 P 1.55
O 0.2302 0.5575 0.1180  1 P 1.56
O 0.2706 0.9037 0.1616  1 C 1.26
O 0.2832 0.4184 0.6658  1 C 1.30
O 0.4014 0.5984 0.8511  1 P 1.59
O 0.4065 0.0923 0.3366  1 P 1.57
O 0.4716 0.3038 0.5532  1 C 1.30
O 0.4808 0.7972 0.0453  1 C 1.30
O 0.5192 0.2028 0.9547  1 C 1.30
O 0.5284 0.6962 0.4468  1 C 1.30
O 0.5935 0.9077 0.6634  1 P 1.57
O 0.5986 0.4016 0.1489  1 P 1.59
O 0.7168 0.5816 0.3342  1 C 1.30
O 0.7294 0.0963 0.8384  1 C 1.26
O 0.7698 0.4425 0.8820  1 P 1.56
O 0.7700 0.6261 0.6965  1 P 1.55
O 0.7930 0.9474 0.3795  1 P 1.54
O 0.7946 0.1362 0.1940  1 P 1.56
O 0.8193 0.1629 0.4119  1 P 1.56
O 0.8349 0.6592 0.9123  1 P 1.54
O 0.9401 0.2013 0.9503  1 C 1.34
O 0.9569 0.6826 0.4397  1 C 1.30

***

A plane-wave DFT calculation with PBE+U was carried out for a relaxed structure of Na2MnPCO7.

Computed properties:
ΔE to the lowest computed polymorph: 13 kJ/mol of formula units
Energy relative to the elements: -27.640 eV/f.u.
Crystal system: triclinic

Cell lengths 8.4670, 8.5576, 10.1754 Å; angles 107.77, 106.65, 105.06 degrees
Last column: nearest neighbours and their distance in Å.
Atoms (fractional coordinates):
Na 0.0000 0.0000 0.0000  4 O 2.28-2.47
Na 0.0095 0.9961 0.4866  4 O 2.29-2.54
Na 0.2462 0.7386 0.4828  4 O 2.26-2.49
Na 0.2568 0.7428 0.9974  5 O 2.27-2.53
Na 0.4798 0.4917 0.9803  5 O 2.27-2.52
Na 0.7221 0.2347 0.4893  4 O 2.24-2.50
Na 0.7498 0.2263 0.9798  5 O 2.28-2.52
Na 0.7818 0.5372 0.3231  6 O 2.40-2.62
Mn 0.1953 0.4287 0.5846  6 O 1.99-2.22
Mn 0.3051 0.0474 0.8865  5 O 1.94-2.15
Mn 0.6862 0.9229 0.5877  6 O 1.98-2.15
Mn 0.8004 0.5449 0.8829  5 O 1.93-2.12
P 0.0539 0.2986 0.8147  4 O 1.55-1.58
P 0.4299 0.1705 0.6564  4 O 1.53-1.60
P 0.5535 0.7960 0.8172  4 O 1.54-1.59
P 0.9358 0.6772 0.6594  4 O 1.54-1.58
C 0.0182 0.2667 0.3100  3 O 1.25-1.31
C 0.4742 0.2156 0.1661  3 O 1.24-1.33
C 0.5212 0.7641 0.3098  3 O 1.25-1.34
C 0.9652 0.7087 0.1663  3 O 1.26-1.34
O 0.0105 0.5710 0.5586  1 P 1.54
O 0.0278 0.7694 0.3082  1 C 1.26
O 0.0293 0.7727 0.0849  1 C 1.29
O 0.0808 0.8209 0.8137  1 P 1.55
O 0.1579 0.2170 0.9069  1 P 1.55
O 0.1637 0.4117 0.3781  1 C 1.31
O 0.1885 0.4339 0.7826  1 P 1.58
O 0.2998 0.0310 0.6911  1 P 1.60
O 0.3125 0.2392 0.5636  1 P 1.53
O 0.3250 0.0717 0.0922  1 C 1.33
O 0.4043 0.6565 0.6651  1 P 1.54
O 0.4515 0.6916 0.1688  1 C 1.25
O 0.4618 0.7111 0.3986  1 C 1.29
O 0.4778 0.9055 0.9150  1 P 1.55
O 0.5173 0.0701 0.5666  1 P 1.54
O 0.5294 0.2761 0.0761  1 C 1.32
O 0.5547 0.2858 0.3054  1 C 1.24
O 0.5714 0.3178 0.8105  1 P 1.55
O 0.6563 0.7104 0.9061  1 P 1.55
O 0.6737 0.9065 0.3846  1 C 1.34
O 0.6903 0.9290 0.7845  1 P 1.59
O 0.8054 0.5424 0.6942  1 P 1.58
O 0.8164 0.5626 0.0879  1 C 1.34
O 0.8348 0.7594 0.5658  1 P 1.55
O 0.9094 0.1525 0.6616  1 P 1.55
O 0.9368 0.1907 0.1698  1 C 1.25
O 0.9681 0.2139 0.4051  1 C 1.31
O 0.9685 0.4019 0.9073  1 P 1.55

***

A plane-wave DFT calculation with PBE+U was carried out for a relaxed structure of NaMnPCO7.

Computed properties:
ΔE to the lowest computed polymorph: 5 kJ/mol of formula units
Energy relative to the elements: -23.950 eV/f.u.
Crystal system: triclinic

Cell lengths 6.2324, 10.4109, 10.4529 Å; angles 117.28, 90.07, 91.33 degrees
Last column: nearest neighbours and their distance in Å.
Atoms (fractional coordinates):
Na 0.0000 0.0000 0.0000  3 O 2.27-2.45
Na 0.0017 0.0020 0.5006  3 O 2.26-2.45
Na 0.5165 0.5292 0.5202  3 O 2.25-2.45
Na 0.9153 0.5310 0.0199  3 O 2.26-2.47
Mn 0.2106 0.4213 0.1975  6 O 1.90-1.98
Mn 0.2109 0.4215 0.6980  6 O 1.91-1.99
Mn 0.6944 0.1131 0.8289  6 O 1.89-1.98
Mn 0.6975 0.1129 0.3283  6 O 1.89-1.98
P 0.2012 0.2033 0.8434  4 O 1.54-1.56
P 0.2027 0.2030 0.3427  4 O 1.54-1.56
P 0.7076 0.3310 0.1832  4 O 1.54-1.56
P 0.7124 0.3313 0.6835  4 O 1.54-1.56
C 0.2149 0.6788 0.3571  3 O 1.23-1.33
C 0.2249 0.6791 0.8576  3 O 1.23-1.33
C 0.7008 0.8560 0.1685  3 O 1.23-1.33
C 0.7131 0.8573 0.6686  3 O 1.23-1.33
O 0.0052 0.1018 0.8299  1 P 1.56
O 0.0082 0.0999 0.3273  1 P 1.56
O 0.1933 0.2426 0.2161  1 P 1.56
O 0.1937 0.2425 0.7164  1 P 1.56
O 0.1999 0.3430 0.9867  1 P 1.54
O 0.2079 0.3422 0.4865  1 P 1.54
O 0.2090 0.6192 0.2151  1 C 1.32
O 0.2120 0.8091 0.4391  1 C 1.23
O 0.2174 0.8094 0.9393  1 C 1.23
O 0.2195 0.5758 0.8995  1 C 1.33
O 0.2239 0.5757 0.3989  1 C 1.33
O 0.2344 0.6195 0.7158  1 C 1.32
O 0.3907 0.1047 0.8281  1 P 1.54
O 0.3939 0.1055 0.3280  1 P 1.55
O 0.5162 0.4296 0.2022  1 P 1.55
O 0.5197 0.4244 0.6877  1 P 1.55
O 0.6951 0.9149 0.3104  1 C 1.32
O 0.7000 0.9595 0.1270  1 C 1.33
O 0.7007 0.9148 0.8100  1 C 1.32
O 0.7056 0.2909 0.8095  1 P 1.56
O 0.7073 0.1920 0.0394  1 P 1.54
O 0.7066 0.9609 0.6274  1 C 1.33
O 0.7088 0.7258 0.0861  1 C 1.23
O 0.7100 0.2911 0.3096  1 P 1.56
O 0.7253 0.1936 0.5393  1 P 1.54
O 0.7298 0.7275 0.5858  1 C 1.23
O 0.9022 0.4330 0.1953  1 P 1.56
O 0.9058 0.4386 0.7111  1 P 1.56

***

A plane-wave DFT calculation with PBE+U was carried out for a relaxed structure of Na5Mn2P2C2O14.

Computed properties:
ΔE to the lowest computed polymorph: 0 kJ/mol of formula units
Energy relative to the elements: -58.496 eV/f.u.
Crystal system: triclinic

Cell lengths 5.2374, 9.0257, 13.4866 Å; angles 89.93, 89.95, 89.28 degrees
Last column: nearest neighbours and their distance in Å.
Atoms (fractional coordinates):
Na 0.2422 0.2379 0.0037  4 O 2.30-2.47
Na 0.2420 0.9192 0.3739  5 O 2.35-2.56
Na 0.2437 0.2499 0.2449  5 O 2.30-2.58
Na 0.2464 0.2509 0.7501  6 O 2.30-2.54
Na 0.2471 0.2592 0.5007  5 O 2.31-2.50
Na 0.7529 0.7408 0.4993  5 O 2.31-2.50
Na 0.7536 0.7491 0.2499  6 O 2.30-2.54
Na 0.7563 0.7501 0.7551  5 O 2.30-2.58
Na 0.7580 0.0808 0.6261  5 O 2.35-2.56
Na 0.7578 0.7621 0.9963  4 O 2.30-2.47
Mn 0.2208 0.6410 0.6261  6 O 2.12-2.34
Mn 0.2226 0.6448 0.1237  5 O 1.98-2.14
Mn 0.7774 0.3552 0.8763  5 O 1.98-2.14
Mn 0.7792 0.3590 0.3739  6 O 2.12-2.34
P 0.2952 0.5774 0.8760  4 O 1.53-1.59
P 0.2971 0.5855 0.3739  4 O 1.55-1.57
P 0.7029 0.4145 0.6261  4 O 1.55-1.57
P 0.7048 0.4226 0.1240  4 O 1.53-1.59
C 0.2661 0.9385 0.6246  3 O 1.29-1.30
C 0.2758 0.9253 0.1249  3 O 1.26-1.33
C 0.7242 0.0747 0.8751  3 O 1.26-1.33
C 0.7339 0.0615 0.3754  3 O 1.29-1.30
O 0.0426 0.8767 0.6243  1 C 1.30
O 0.0607 0.8481 0.1235  1 C 1.33
O 0.1644 0.4240 0.8768  1 P 1.55
O 0.1754 0.4301 0.3731  1 P 1.55
O 0.2119 0.6794 0.4650  1 P 1.56
O 0.2173 0.6783 0.2804  1 P 1.57
O 0.2234 0.6686 0.7838  1 P 1.53
O 0.2273 0.6676 0.9701  1 P 1.55
O 0.2706 0.0646 0.1280  1 C 1.26
O 0.2852 0.0812 0.6233  1 C 1.29
O 0.4037 0.4515 0.1256  1 P 1.59
O 0.4062 0.4315 0.6248  1 P 1.56
O 0.4701 0.8542 0.6246  1 C 1.30
O 0.4799 0.8424 0.1249  1 C 1.30
O 0.5201 0.1576 0.8751  1 C 1.30
O 0.5299 0.1458 0.3754  1 C 1.30
O 0.5938 0.5685 0.3752  1 P 1.56
O 0.5963 0.5485 0.8744  1 P 1.59
O 0.7148 0.9188 0.3767  1 C 1.29
O 0.7294 0.9354 0.8720  1 C 1.26
O 0.7727 0.3324 0.0299  1 P 1.55
O 0.7766 0.3314 0.2162  1 P 1.53
O 0.7827 0.3217 0.7196  1 P 1.57
O 0.7881 0.3206 0.5350  1 P 1.56
O 0.8246 0.5699 0.6269  1 P 1.55
O 0.8356 0.5760 0.1232  1 P 1.55
O 0.9393 0.1519 0.8765  1 C 1.33
O 0.9574 0.1233 0.3757  1 C 1.30